Computed, not measured: an optimized crystal structure of Li3V3P8O29 at the PBE with a Hubbard U level of DFT.

Cell and atoms, written as POSCAR:
```
Li3V3P8O29
1.0
9.759 0.000 0.000
4.877 8.464 0.000
0.001 0.107 14.219
Li V P O
6 6 16 58
Cartesian
0.000 0.000 0.000
2.125 3.723 7.763
9.169 8.421 0.655
10.502 8.471 7.736
9.355 5.578 8.559
9.921 5.220 1.471
2.185 2.003 4.972
4.309 5.727 12.160
5.554 5.651 5.053
2.819 0.924 12.092
7.700 2.114 12.119
7.120 0.945 5.005
0.031 0.084 10.465
4.961 8.469 3.361
4.908 2.843 6.717
4.940 2.885 13.830
7.890 7.568 6.274
7.251 6.482 13.494
7.252 5.071 10.853
9.168 8.341 3.715
7.927 3.829 3.729
10.532 8.366 10.809
9.170 3.112 6.356
11.769 7.615 13.403
10.463 3.119 13.435
12.396 6.403 6.318
12.397 4.993 3.684
11.768 3.826 10.852
0.069 0.025 1.874
0.063 0.080 8.990
4.241 7.298 11.147
0.815 1.263 3.965
3.020 4.993 11.029
2.196 3.498 3.906
1.426 1.745 13.297
4.183 6.352 6.144
4.180 5.027 3.892
2.777 2.494 11.113
1.485 0.124 11.131
5.648 7.232 3.986
3.446 2.884 6.126
4.318 4.169 13.170
5.696 6.545 13.322
2.296 0.467 6.119
5.714 5.113 11.046
3.526 1.216 3.960
6.839 6.433 6.217
7.729 7.986 13.393
4.859 2.855 8.204
4.164 1.646 13.247
5.616 4.083 6.046
4.961 2.735 1.089
6.851 4.931 3.901
4.125 0.182 11.029
8.865 7.733 2.400
7.820 5.735 0.475
8.749 7.358 4.902
7.845 5.808 12.152
8.832 7.465 7.427
7.801 5.689 9.631
5.642 1.571 6.148
6.364 2.813 13.159
7.709 3.578 11.005
5.801 0.169 3.934
6.415 1.219 11.055
7.181 2.450 3.942
10.772 7.720 9.495
8.737 3.916 2.503
10.798 7.440 0.306
8.865 3.977 5.032
8.896 3.905 7.572
10.948 7.399 12.011
8.341 1.797 6.155
8.935 2.795 13.323
11.937 7.892 6.298
7.736 0.450 13.299
9.066 1.314 11.117
8.397 0.058 4.001
11.786 5.763 4.968
10.743 3.961 12.067
10.781 3.844 0.388
11.830 5.562 2.449
11.870 5.649 7.489
11.076 3.855 9.540
10.684 2.746 6.248
12.799 6.440 13.367
```

Properties
Energy above the lowest structure with this stoichiometry (eV per atom): 0.010
Calculated density (g/cm3): 2.50
Magnetization (μB per formula unit): 0.0
Crystal system: triclinic
Space-group type: P1 (1)
Electronic total energy (eV per formula unit): -303.2
ΔH_f (0 K) (meV per atom): -2523

***

Computed, not measured: an optimized crystal structure of CaEu2WO6 at the PBE with a Hubbard U level of DFT.

Cell and atoms, written as POSCAR:
```
CaEu2WO6
1.0
0.000 4.173 4.173
4.173 0.000 4.173
4.173 4.173 0.000
Ca Eu W O
1 2 1 6
Cartesian
0.000 0.000 0.000
2.087 2.087 2.087
6.260 6.260 6.260
4.173 4.173 4.173
4.173 4.173 2.228
4.173 2.228 4.173
6.119 4.173 4.173
2.228 4.173 4.173
4.173 6.119 4.173
4.173 4.173 6.119
```

Properties
Calculated density (g/cm3): 7.13
Magnetization (μB per formula unit): 14.0
Crystal system: cubic
Space-group type: Fm-3m (225)
Electronic total energy (eV per formula unit): -85.8
ΔH_f (0 K) (meV per atom): -2919

***

Computed, not measured: an optimized crystal structure of Li6V3P8O29 at the PBE with a Hubbard U level of DFT.

Cell and atoms, written as POSCAR:
```
Li6V3P8O29
1.0
9.792 0.000 0.000
4.887 8.507 0.000
0.008 0.015 13.993
Li V P O
12 6 16 58
Cartesian
0.000 0.000 0.000
11.902 3.679 7.834
7.612 7.716 9.538
4.887 2.860 3.148
7.038 6.487 2.468
5.540 0.034 7.830
9.410 5.548 8.695
9.738 5.678 1.403
9.056 2.831 9.539
11.818 7.641 2.433
10.444 2.915 2.434
12.570 6.522 9.537
2.101 1.990 5.106
4.273 5.681 12.126
2.766 0.911 12.164
5.542 5.686 5.156
7.610 1.991 12.155
7.024 0.867 5.139
4.871 2.865 13.804
4.869 2.846 6.792
7.813 7.643 6.429
7.153 6.469 13.468
7.199 4.990 10.874
9.120 8.331 3.846
7.827 3.790 3.876
10.454 8.341 10.838
9.074 3.029 6.472
11.773 7.573 13.408
10.407 3.019 13.430
12.432 6.398 6.454
12.386 4.945 3.855
11.727 3.765 10.852
9.775 0.040 10.430
14.660 8.507 3.400
2.876 4.987 10.849
2.043 3.481 3.841
1.294 1.620 13.259
4.156 6.444 6.208
2.697 2.447 10.981
4.134 4.846 3.984
6.334 8.501 11.023
5.662 7.275 3.946
3.386 2.913 6.219
5.611 6.590 13.258
4.202 4.115 13.193
2.166 0.462 6.194
5.658 5.066 10.968
3.571 1.219 3.982
6.859 6.450 6.333
4.117 1.627 13.195
7.715 7.885 13.342
4.809 2.820 8.283
4.868 2.818 1.303
5.645 4.038 6.148
6.852 5.004 3.854
4.048 0.047 10.841
8.609 7.637 7.716
7.570 5.788 0.751
8.691 7.467 2.710
7.787 5.794 9.744
7.755 5.602 12.255
8.859 7.511 5.223
5.544 1.508 6.250
6.317 2.796 13.200
6.951 2.513 4.011
6.334 1.151 10.980
7.698 3.538 10.843
5.773 0.058 3.850
8.658 3.984 5.254
10.779 7.446 12.144
10.874 7.570 9.594
8.790 3.840 2.738
8.762 3.707 7.772
10.961 7.512 0.679
8.900 2.792 13.343
11.807 7.811 6.397
8.309 1.700 6.230
7.755 0.350 13.239
9.077 1.334 11.006
13.194 8.454 3.969
10.798 3.936 12.155
11.837 5.738 2.718
11.797 5.570 5.231
10.783 3.729 0.693
10.837 3.800 9.614
12.041 5.688 7.731
10.603 2.816 6.349
12.736 6.376 13.304
13.878 7.302 10.981
10.450 1.310 3.933
14.634 8.500 1.892
9.800 0.060 8.933
```

Properties
Energy above the lowest structure with this stoichiometry (eV per atom): 0.008
Calculated density (g/cm3): 2.58
Magnetization (μB per formula unit): 3.0
Crystal system: triclinic
Space-group type: P1 (1)
Electronic total energy (eV per formula unit): -322.6
ΔH_f (0 K) (meV per atom): -2655

***

Computed, not measured: an optimized crystal structure of ThMo2O8 at the PBE with a Hubbard U level of DFT.

Cell and atoms, written as POSCAR:
```
ThMo2O8
1.0
17.995 0.000 0.000
-8.998 15.584 0.000
0.000 0.000 6.306
Th Mo O
9 18 72
Cartesian
0.000 0.000 0.000
14.989 5.196 1.557
-5.992 10.388 4.749
2.997 5.201 4.749
0.000 10.389 3.176
6.003 0.005 1.557
2.995 15.579 4.749
8.998 5.195 3.130
6.001 10.383 1.557
-0.886 3.603 4.681
-2.687 7.852 4.684
-5.435 14.550 4.681
-3.541 11.445 1.519
2.677 2.568 1.625
0.856 6.795 1.519
-0.855 13.985 4.684
6.313 2.656 4.786
3.541 9.332 4.684
5.456 6.253 1.621
2.685 12.928 1.519
9.852 1.599 1.621
8.142 8.789 4.786
6.320 13.016 4.681
12.538 4.139 4.786
14.432 1.034 1.625
11.684 7.733 1.621
9.883 11.982 1.625
-2.075 4.093 5.928
-1.650 3.775 3.074
-4.302 8.556 4.496
-0.424 1.861 4.997
-2.376 6.665 3.380
-2.572 7.011 6.257
-7.174 15.022 4.997
-4.515 10.856 2.893
-4.121 10.652 0.019
-5.258 12.789 4.799
1.399 1.298 1.309
-0.578 5.760 1.392
0.551 4.636 4.799
-4.903 15.126 3.074
-1.418 9.158 4.522
-3.720 13.205 1.392
2.444 3.317 3.232
-4.416 15.334 5.928
-1.797 11.009 1.853
2.507 3.843 0.378
0.362 8.524 1.853
4.290 1.841 1.507
1.853 6.246 2.893
1.833 6.690 0.019
-2.037 14.310 3.380
-1.640 14.306 6.257
4.699 3.380 4.914
-0.358 12.233 4.522
6.336 1.518 3.413
1.775 9.778 4.522
4.584 5.391 2.926
6.710 1.758 6.287
4.786 5.733 0.049
3.739 7.580 4.496
1.435 11.636 1.853
8.434 0.552 1.810
0.564 15.032 4.496
7.563 3.948 4.452
5.259 8.004 1.810
4.212 9.852 6.257
2.288 13.827 0.019
4.413 10.193 3.380
7.222 5.807 1.784
2.661 14.066 2.893
9.355 3.351 1.784
4.298 12.204 1.392
10.638 1.278 0.049
11.035 1.275 2.926
7.165 8.895 6.287
7.144 9.338 3.413
4.707 13.743 4.799
8.635 7.060 4.452
6.490 11.741 5.928
10.794 4.576 4.452
13.413 0.250 0.378
6.554 12.268 3.074
12.718 2.380 4.914
10.415 6.426 1.784
13.901 0.458 3.232
8.447 10.948 1.507
9.575 9.824 4.914
7.598 14.286 4.997
14.255 2.795 1.507
13.118 4.932 6.287
13.512 4.728 3.413
16.172 0.563 1.309
11.569 8.573 0.049
11.374 8.919 2.926
9.422 13.724 1.309
13.300 7.028 1.810
10.648 11.809 3.232
11.072 11.491 0.378
```

Properties
Calculated density (g/cm3): 4.66
Magnetization (μB per formula unit): 0.0
Crystal system: trigonal
Space-group type: P-3 (147)
Electronic total energy (eV per formula unit): -85.9
ΔH_f (0 K) (meV per atom): -2646

***

Question: What is the ΔH_f (0 K) in the fourth record?
Answer: -2646 meV per atom